! PBE+U MgTe3WO12, relaxed; values from VASP
! total moment	0.000	Bohr magnetons per cell
! energy above the most stable polymorph in this dataset	0.037	eV per atom
! space-group type	P1, No. 1
! ΔE_f	-1.7141	eV/atom
&SYSTEM
  ibrav = 0, nat = 17, ntyp = 4
/
ATOMIC_SPECIES
O 16.00 O.upf
Te 127.60 Te.upf
W 183.84 W.upf
Mg 24.30 Mg.upf
CELL_PARAMETERS angstrom
-2.717 -4.736 0.518
4.759 -9.271 3.688
1.160 -6.893 6.773
ATOMIC_POSITIONS crystal
O 0.844 0.723 0.220
O 0.731 0.907 0.329
O 0.255 0.109 0.640
O 0.343 0.793 0.150
O 0.251 0.639 0.593
O 0.157 0.289 0.759
O 0.148 0.831 0.701
O 0.744 0.391 0.375
O 0.877 0.155 0.273
O 0.367 0.273 0.163
O 0.600 0.686 0.872
O 0.628 0.209 0.855
Te 0.499 0.504 0.498
Te 0.973 0.502 0.019
Te 0.501 0.995 0.510
W 0.021 0.999 0.991
Mg 0.305 0.002 0.282